1.
The following is a r2SCAN calculation of a relaxed structure of Zr3P, from the Materials Project.

The density is 6.4 g/cm3. For the magnetization, the calculation gives 0.0 Bohr magnetons per cell. For the energy of formation, the calculation gives -0.942 eV/atom. Its space group is No. 86.

a b c (Å): 5.3708 10.8405 10.8405
angles (deg): 90.00 90.00 90.00
Fractional positions:
Zr 0.4712 0.6130 0.7774
Zr 0.7123 0.1653 0.6428
Zr 0.5288 0.3870 0.2226
Zr 0.2123 0.1428 0.8347
Zr 0.9712 0.2226 0.1130
Zr 0.7123 0.3347 0.8572
Zr 0.2350 0.0703 0.5346
Zr 0.2650 0.5346 0.4297
Zr 0.7877 0.8572 0.1653
Zr 0.0288 0.7774 0.8870
Zr 0.7350 0.4654 0.5703
Zr 0.2123 0.3572 0.6653
Zr 0.7877 0.6428 0.3347
Zr 0.7650 0.9297 0.4654
Zr 0.5288 0.1130 0.2774
Zr 0.7350 0.0346 0.9297
Zr 0.2877 0.6653 0.1428
Zr 0.2877 0.8347 0.3572
Zr 0.2350 0.4297 0.9654
Zr 0.0288 0.7226 0.6130
Zr 0.4712 0.8870 0.7226
Zr 0.9712 0.2774 0.3870
Zr 0.7650 0.5703 0.0346
Zr 0.2650 0.9654 0.0703
P 0.0371 0.4562 0.2090
P 0.9629 0.5438 0.7910
P 0.0371 0.0438 0.2910
P 0.5371 0.7090 0.5438
P 0.4629 0.2910 0.4562
P 0.9629 0.9562 0.7090
P 0.5371 0.7910 0.9562
P 0.4629 0.2090 0.0438

---

2.
The following is a r2SCAN calculation of a relaxed structure of PaSnPd2, from the Materials Project.

The density is 11.6 g/cm3. For the magnetization, the calculation gives 0.8 Bohr magnetons per cell. For the energy of formation, the calculation gives -0.626 eV/atom. Its space group is No. 225.

a b c (Å): 4.8410 4.8410 4.8410
angles (deg): 60.00 60.00 60.00
Fractional positions:
Pd 0.7500 0.7500 0.7500
Pd 0.2500 0.2500 0.2500
Pa 0.0000 0.0000 0.0000
Sn 0.5000 0.5000 0.5000

---

3.
The following is a r2SCAN calculation of a relaxed structure of PaPt3, from the Materials Project.

The density is 18.8 g/cm3. For the magnetization, the calculation gives 0.0 Bohr magnetons per cell. For the energy of formation, the calculation gives -1.111 eV/atom. Its space group is No. 194.

a b c (Å): 5.7258 5.7258 5.0726
angles (deg): 90.00 90.00 120.00
Fractional positions:
Pa 0.6667 0.3333 0.2500
Pa 0.3333 0.6667 0.7500
Pt 0.3306 0.1653 0.7500
Pt 0.8347 0.6694 0.7500
Pt 0.1653 0.8347 0.2500
Pt 0.6694 0.8347 0.2500
Pt 0.1653 0.3306 0.2500
Pt 0.8347 0.1653 0.7500

---

4.
The following is a r2SCAN calculation of a relaxed structure of YbPaPt2, from the Materials Project.

The density is 15.7 g/cm3. For the magnetization, the calculation gives 0.3 Bohr magnetons per cell. For the energy of formation, the calculation gives -1.047 eV/atom. Its space group is No. 225.

a b c (Å): 4.9146 4.9146 4.9146
angles (deg): 60.00 60.00 60.00
Fractional positions:
Pt 0.7500 0.7500 0.7500
Pt 0.2500 0.2500 0.2500
Yb 0.0000 0.0000 0.0000
Pa 0.5000 0.5000 0.5000

---

5.
The following is a r2SCAN calculation of a relaxed structure of PaZnRh2, from the Materials Project.

The density is 12.0 g/cm3. For the magnetization, the calculation gives 0.0 Bohr magnetons per cell. For the energy of formation, the calculation gives -0.650 eV/atom. Its space group is No. 225.

a b c (Å): 4.6099 4.6099 4.6099
angles (deg): 60.00 60.00 60.00
Fractional positions:
Rh 0.5000 0.5000 0.5000
Rh 0.0000 0.0000 0.0000
Pa 0.2500 0.2500 0.2500
Zn 0.7500 0.7500 0.7500

---

6.
The following is a r2SCAN calculation of a relaxed structure of ScPaRu2, from the Materials Project.

The density is 10.8 g/cm3. For the magnetization, the calculation gives 0.0 Bohr magnetons per cell. For the energy of formation, the calculation gives -0.550 eV/atom. Its space group is No. 225.

a b c (Å): 4.7070 4.7070 4.7070
angles (deg): 60.00 60.00 60.00
Fractional positions:
Ru 0.0000 0.0000 0.0000
Ru 0.5000 0.5000 0.5000
Pa 0.2500 0.2500 0.2500
Sc 0.7500 0.7500 0.7500

---

7.
The following is a r2SCAN calculation of a relaxed structure of YPaRu2, from the Materials Project.

The density is 10.9 g/cm3. For the magnetization, the calculation gives 0.0 Bohr magnetons per cell. For the energy of formation, the calculation gives -0.406 eV/atom. Its space group is No. 225.

a b c (Å): 4.8272 4.8272 4.8272
angles (deg): 60.00 60.00 60.00
Fractional positions:
Ru 0.5000 0.5000 0.5000
Ru 0.0000 0.0000 0.0000
Y 0.7500 0.7500 0.7500
Pa 0.2500 0.2500 0.2500

---

8.
The following is a r2SCAN calculation of a relaxed structure of YbPaRu2, from the Materials Project.

The density is 13.0 g/cm3. For the magnetization, the calculation gives 0.0 Bohr magnetons per cell. For the energy of formation, the calculation gives -0.522 eV/atom. Its space group is No. 225.

a b c (Å): 4.7844 4.7844 4.7844
angles (deg): 60.00 60.00 60.00
Fractional positions:
Pa 0.5000 0.5000 0.5000
Yb 0.0000 0.0000 0.0000
Ru 0.7500 0.7500 0.7500
Ru 0.2500 0.2500 0.2500

---

9.
The following is a r2SCAN calculation of a relaxed structure of PaZnRu2, from the Materials Project.

The density is 12.4 g/cm3. For the magnetization, the calculation gives 0.0 Bohr magnetons per cell. For the energy of formation, the calculation gives -0.414 eV/atom. Its space group is No. 225.

a b c (Å): 4.5594 4.5594 4.5594
angles (deg): 60.00 60.00 60.00
Fractional positions:
Ru 0.0000 0.0000 0.0000
Ru 0.5000 0.5000 0.5000
Pa 0.2500 0.2500 0.2500
Zn 0.7500 0.7500 0.7500

---

10.
The following is a r2SCAN calculation of a relaxed structure of Pa3Sb4, from the Materials Project.

The density is 9.9 g/cm3. For the magnetization, the calculation gives 6.0 Bohr magnetons per cell. For the energy of formation, the calculation gives -0.662 eV/atom. Its space group is No. 161.

a b c (Å): 8.0074 8.0072 8.0495
angles (deg): 109.58 109.58 109.36
Fractional positions:
Pa 0.3760 0.2486 0.6253
Pa 0.1274 0.7514 0.8767
Pa 0.8726 0.1240 0.7493
Pa 0.6240 0.3726 0.2493
Pa 0.7486 0.8760 0.1253
Pa 0.2514 0.6274 0.3767
Sb 0.1576 0.1584 0.1575
Sb 0.6585 0.6577 0.6575
Sb 0.0008 0.3424 0.4998
Sb 0.3415 0.4992 0.9990
Sb 0.8424 0.5008 0.9998
Sb 0.5000 0.0000 0.8424
Sb 0.9992 0.8416 0.4991
Sb 0.5000 0.0000 0.3424

---

11.
The following is a r2SCAN calculation of a relaxed structure of PaSb2, from the Materials Project.

The density is 9.6 g/cm3. For the magnetization, the calculation gives 0.0 Bohr magnetons per cell. For the energy of formation, the calculation gives -0.625 eV/atom. Its space group is No. 129.

a b c (Å): 4.3327 4.3327 8.7651
angles (deg): 90.00 90.00 90.00
Fractional positions:
Sb 0.7500 0.7500 0.3629
Sb 0.2500 0.2500 0.6371
Sb 0.2500 0.7500 0.0000
Sb 0.7500 0.2500 0.0000
Pa 0.7500 0.7500 0.7253
Pa 0.2500 0.2500 0.2747

---

12.
The following is a r2SCAN calculation of a relaxed structure of ScPaTc2, from the Materials Project.

The density is 10.6 g/cm3. For the magnetization, the calculation gives 0.0 Bohr magnetons per cell. For the energy of formation, the calculation gives -0.355 eV/atom. Its space group is No. 225.

a b c (Å): 4.7055 4.7055 4.7055
angles (deg): 60.00 60.00 60.00
Fractional positions:
Sc 0.7500 0.7500 0.7500
Tc 0.5000 0.5000 0.5000
Tc 0.0000 0.0000 0.0000
Pa 0.2500 0.2500 0.2500